# 1
The following is a GGA+U calculation of a geometry-optimized ScFeO3 structure, from the Materials Project database.

The calculation puts the energy relative to the elements at -2.70 eV/atom.

Lattice parameters (Å, degrees): 5.023 5.397 7.427 90.11 89.65 90.02
Element x y z (fractional)
Sc1 0.471 0.422 0.749
O1 0.681 0.301 0.431
O2 0.859 0.556 0.759
Sc2 0.971 0.077 0.250
Fe1 0.000 0.500 0.500
O3 0.193 0.188 0.568
Sc3 0.029 0.923 0.750
Fe2 0.000 0.500 0.000
Sc4 0.529 0.578 0.251
O4 0.820 0.801 0.070
O5 0.141 0.444 0.241
Fe3 0.500 0.000 0.500
O6 0.360 0.944 0.259
O7 0.319 0.699 0.569
O8 0.306 0.688 0.931
Fe4 0.500 0.000 0.000
O9 0.180 0.199 0.930
O10 0.807 0.812 0.432
O11 0.694 0.312 0.069
O12 0.640 0.056 0.741

# 2
The following is a GGA+U calculation of a geometry-optimized ScFeO3 structure, from the Materials Project database.

The calculation puts the energy relative to the elements at -2.76 eV/atom.

Lattice parameters (Å, degrees): 3.369 3.369 11.944 90.00 90.00 120.00
Element x y z (fractional)
Sc1 0.000 0.000 0.500
O1 0.667 0.333 0.419
O2 0.000 0.000 0.750
O3 0.333 0.667 0.919
O4 0.000 0.000 0.250
Sc2 0.000 0.000 0.000
O5 0.333 0.667 0.581
O6 0.667 0.333 0.081
Fe1 0.333 0.667 0.750
Fe2 0.667 0.333 0.250

# 3
The following is a GGA+U calculation of a geometry-optimized ScFe3O8 structure, from the Materials Project database.

The calculation puts the energy relative to the elements at -1.53 eV/atom.

Lattice parameters (Å, degrees): 5.796 5.796 6.294 60.52 60.52 60.81
Element x y z (fractional)
O1 0.260 0.260 0.714
O2 0.269 0.728 0.262
O3 0.246 0.246 0.278
O4 0.754 0.754 0.722
Fe1 0.120 0.120 0.620
O5 0.740 0.740 0.286
Fe2 0.880 0.880 0.380
Sc1 0.500 0.500 0.000
Fe3 0.500 0.500 0.500
O6 0.728 0.269 0.262
O7 0.731 0.272 0.738
O8 0.272 0.731 0.738

# 4
The following is a GGA+U calculation of a geometry-optimized Fe2Se3O12 structure, from the Materials Project database.

The calculation puts the energy relative to the elements at -1.26 eV/atom.

Lattice parameters (Å, degrees): 9.048 8.702 14.878 55.35 90.00 90.00
Element x y z (fractional)
Se1 0.247 0.457 0.006
Fe1 0.469 0.867 0.384
O1 0.378 0.495 0.916
O2 0.786 0.968 0.190
O3 0.171 0.249 0.055
O4 0.094 0.852 0.018
O5 0.286 0.032 0.310
O6 0.572 0.189 0.047
O7 0.122 0.495 0.416
Se2 0.118 0.032 0.356
O8 0.113 0.167 0.404
O9 0.329 0.249 0.555
O10 0.878 0.377 0.065
Fe2 0.031 0.867 0.884
O11 0.686 0.541 0.889
O12 0.023 0.548 0.222
O13 0.906 0.148 0.982
Fe3 0.531 0.133 0.616
O14 0.622 0.377 0.565
Se3 0.124 0.745 0.151
Fe4 0.031 0.634 0.615
O15 0.079 0.888 0.188
O16 0.928 0.189 0.547
O17 0.829 0.751 0.945
O18 0.002 0.880 0.746
Se4 0.376 0.745 0.651
O19 0.694 0.293 0.826
Se5 0.753 0.543 0.994
O20 0.613 0.833 0.096
Se6 0.882 0.968 0.644
O21 0.186 0.459 0.611
O22 0.421 0.888 0.688
O23 0.977 0.452 0.778
Se7 0.253 0.457 0.506
O24 0.594 0.148 0.482
O25 0.214 0.032 0.810
O26 0.878 0.505 0.584
O27 0.406 0.852 0.518
Se8 0.624 0.255 0.349
O28 0.622 0.505 0.084
O29 0.428 0.811 0.953
O30 0.194 0.707 0.674
O31 0.671 0.751 0.445
O32 0.477 0.548 0.722
Fe5 0.531 0.366 0.885
O33 0.306 0.707 0.174
Se9 0.747 0.543 0.494
O34 0.579 0.112 0.312
O35 0.122 0.623 0.935
O36 0.378 0.623 0.435
O37 0.714 0.968 0.690
Fe6 0.469 0.634 0.115
Se10 0.382 0.032 0.856
Fe7 0.969 0.133 0.116
O38 0.814 0.541 0.389
O39 0.502 0.120 0.754
O40 0.806 0.293 0.326
Se11 0.618 0.968 0.144
O41 0.072 0.811 0.453
O42 0.314 0.459 0.111
O43 0.387 0.167 0.904
O44 0.998 0.120 0.254
O45 0.921 0.112 0.812
O46 0.523 0.452 0.278
O47 0.887 0.833 0.596
Fe8 0.969 0.366 0.385
O48 0.498 0.880 0.246
Se12 0.876 0.255 0.849

# 5
The following is a GGA+U calculation of a geometry-optimized FeSeO4 structure, from the Materials Project database.

The calculation puts the energy relative to the elements at -1.34 eV/atom.

Lattice parameters (Å, degrees): 5.064 9.400 6.738 90.00 90.00 96.95
Element x y z (fractional)
Se1 0.023 0.674 0.250
O1 0.076 0.857 0.250
O2 0.924 0.143 0.750
O3 0.576 0.357 0.250
Fe1 0.500 0.500 0.000
O4 0.678 0.390 0.750
O5 0.636 0.879 0.542
O6 0.135 0.379 0.542
O7 0.823 0.110 0.250
O8 0.135 0.379 0.958
O9 0.365 0.122 0.458
Fe2 0.000 0.000 0.500
O10 0.322 0.610 0.250
Fe3 0.000 0.000 0.000
O11 0.865 0.622 0.042
O12 0.635 0.878 0.958
O13 0.864 0.621 0.458
O14 0.424 0.643 0.750
Se2 0.977 0.326 0.750
O15 0.178 0.890 0.750
O16 0.365 0.121 0.042
Se3 0.523 0.174 0.250
Se4 0.477 0.826 0.750
Fe4 0.500 0.500 0.500

# 6
The following is a GGA+U calculation of a geometry-optimized FeSe4O10 structure, from the Materials Project database.

The calculation puts the energy relative to the elements at -1.18 eV/atom.

Lattice parameters (Å, degrees): 6.086 7.002 10.547 90.00 90.00 90.00
Element x y z (fractional)
Fe1 0.000 0.500 0.400
O1 0.164 0.141 0.763
O2 0.000 0.000 0.268
O3 0.164 0.359 0.263
O4 0.573 0.242 0.632
Se1 0.782 0.650 0.692
O5 0.836 0.859 0.763
O6 0.891 0.681 0.543
O7 0.000 0.500 0.768
O8 0.891 0.819 0.043
Se2 0.711 0.354 0.009
Se3 0.289 0.854 0.509
O9 0.109 0.319 0.543
O10 0.500 0.000 0.420
O11 0.736 0.325 0.400
Se4 0.711 0.146 0.509
Se5 0.289 0.646 0.009
Fe2 0.000 0.000 0.900
Se6 0.218 0.350 0.692
O12 0.573 0.258 0.132
O13 0.500 0.500 0.920
O14 0.427 0.742 0.132
O15 0.836 0.641 0.263
O16 0.264 0.825 0.900
O17 0.109 0.181 0.043
O18 0.264 0.675 0.400
Se7 0.218 0.150 0.192
O19 0.427 0.758 0.632
Se8 0.782 0.850 0.192
O20 0.736 0.175 0.900

# 7
The following is a GGA+U calculation of a geometry-optimized FeSeO5 structure, from the Materials Project database.

The calculation puts the energy relative to the elements at -1.10 eV/atom. The polymorph energy (0 for the lowest one) comes out at 0 meV per atom.

Lattice parameters (Å, degrees): 5.486 5.486 7.613 110.39 110.39 100.17
Element x y z (fractional)
O1 0.200 0.767 0.381
Se1 0.919 0.581 0.750
O2 0.821 0.713 0.580
O3 0.319 0.181 0.750
O4 0.179 0.287 0.420
Se2 0.081 0.419 0.250
O5 0.213 0.321 0.080
Fe1 0.500 0.500 0.000
O6 0.681 0.819 0.250
Fe2 0.000 0.000 0.500
O7 0.787 0.679 0.920
O8 0.800 0.233 0.619
O9 0.733 0.300 0.119
O10 0.267 0.700 0.881

# 8
The following is a GGA+U calculation of a geometry-optimized FeSe3O9 structure, from the Materials Project database.

The calculation puts the energy relative to the elements at -1.14 eV/atom.

Lattice parameters (Å, degrees): 12.201 8.124 11.199 49.23 90.00 90.00
Element x y z (fractional)
Se1 0.857 0.719 0.865
O1 0.546 0.806 0.235
O2 0.803 0.875 0.086
Se2 0.357 0.281 0.635
O3 0.454 0.194 0.765
O4 0.294 0.775 0.156
O5 0.771 0.539 0.888
O6 0.779 0.948 0.807
O7 0.534 0.756 0.868
O8 0.160 0.447 0.370
O9 0.206 0.775 0.656
O10 0.444 0.497 0.163
O11 0.046 0.194 0.265
Se3 0.323 0.917 0.609
Fe1 0.697 0.550 0.719
O12 0.706 0.225 0.844
Fe2 0.197 0.450 0.781
O13 0.197 0.125 0.914
O14 0.729 0.539 0.388
O15 0.697 0.875 0.586
O16 0.596 0.607 0.545
Se4 0.143 0.281 0.135
Se5 0.177 0.917 0.109
Se6 0.643 0.719 0.365
Se7 0.540 0.697 0.042
O17 0.840 0.553 0.630
O18 0.271 0.461 0.612
O19 0.303 0.125 0.414
O20 0.279 0.052 0.693
Se8 0.460 0.303 0.958
O21 0.466 0.244 0.132
O22 0.404 0.393 0.455
O23 0.660 0.553 0.130
O24 0.944 0.503 0.337
O25 0.056 0.497 0.663
O26 0.966 0.756 0.368
O27 0.340 0.447 0.870
Fe3 0.303 0.450 0.281
O28 0.954 0.806 0.735
Se9 0.960 0.697 0.542
Fe4 0.803 0.550 0.219
Se10 0.823 0.083 0.891
O29 0.904 0.607 0.045
O30 0.721 0.948 0.307
Se11 0.040 0.303 0.458
O31 0.556 0.503 0.837
Se12 0.677 0.083 0.391
O32 0.096 0.393 0.955
O33 0.221 0.052 0.193
O34 0.034 0.244 0.632
O35 0.794 0.225 0.344
O36 0.229 0.461 0.112

# 9
The following is a GGA+U calculation of a geometry-optimized Fe2Se6O15 structure, from the Materials Project database.

The calculation puts the energy relative to the elements at -1.31 eV/atom.

Lattice parameters (Å, degrees): 11.387 11.592 11.936 102.86 90.00 90.00
Element x y z (fractional)
O1 0.381 0.864 0.272
O2 0.297 0.614 0.839
O3 0.511 0.365 0.566
O4 0.202 0.799 0.114
O5 0.405 0.834 0.855
O6 0.721 0.583 0.766
Se1 0.598 0.489 0.213
O7 0.595 0.166 0.145
O8 0.362 0.397 0.848
O9 0.489 0.635 0.434
O10 0.119 0.364 0.772
Se2 0.515 0.892 0.790
O11 0.223 0.251 0.940
O12 0.022 0.462 0.608
O13 0.522 0.038 0.892
O14 0.981 0.072 0.393
O15 0.203 0.114 0.339
O16 0.978 0.538 0.392
Se3 0.519 0.171 0.837
O17 0.298 0.299 0.614
O18 0.647 0.693 0.600
Fe1 0.761 0.742 0.731
Fe2 0.241 0.759 0.273
Fe3 0.739 0.242 0.231
O19 0.221 0.917 0.734
Se4 0.839 0.860 0.008
O20 0.147 0.807 0.900
Fe4 0.239 0.258 0.269
O21 0.638 0.603 0.152
O22 0.519 0.572 0.893
O23 0.905 0.666 0.645
O24 0.862 0.103 0.652
Se5 0.098 0.011 0.287
O25 0.619 0.136 0.728
O26 0.095 0.334 0.355
O27 0.371 0.709 0.631
Se6 0.172 0.978 0.627
Se7 0.985 0.392 0.290
Fe5 0.741 0.741 0.227
Se8 0.481 0.829 0.163
O28 0.651 0.378 0.801
Se9 0.601 0.752 0.489
Se10 0.402 0.511 0.787
Se11 0.828 0.022 0.373
O29 0.107 0.646 0.256
O30 0.019 0.928 0.607
O31 0.011 0.135 0.934
O32 0.723 0.249 0.560
O33 0.478 0.962 0.108
O34 0.779 0.083 0.266
O35 0.797 0.886 0.661
O36 0.863 0.334 0.338
O37 0.849 0.878 0.301
O38 0.137 0.666 0.662
Se12 0.015 0.608 0.710
Fe6 0.259 0.259 0.773
Se13 0.339 0.640 0.492
Se14 0.399 0.248 0.511
O39 0.279 0.417 0.234
O40 0.629 0.291 0.369
Se15 0.485 0.108 0.210
Se16 0.661 0.360 0.508
Se17 0.101 0.748 0.011
O41 0.637 0.834 0.838
O42 0.853 0.193 0.100
O43 0.393 0.146 0.756
Fe7 0.261 0.758 0.769
Se18 0.019 0.329 0.663
O44 0.881 0.636 0.228
O45 0.703 0.386 0.161
O46 0.481 0.428 0.107
O47 0.129 0.209 0.131
Se19 0.328 0.478 0.127
O48 0.871 0.791 0.869
Se20 0.161 0.140 0.992
O49 0.777 0.749 0.060
Fe8 0.759 0.241 0.727
O50 0.893 0.354 0.744
O51 0.607 0.854 0.244
O52 0.151 0.122 0.699
Se21 0.672 0.522 0.873
O53 0.363 0.166 0.162
O54 0.353 0.307 0.400
O55 0.277 0.751 0.440
O56 0.138 0.897 0.348
Se22 0.981 0.671 0.337
O57 0.349 0.622 0.199
O58 0.798 0.201 0.886
O59 0.702 0.701 0.386
Se23 0.899 0.252 0.989
Se24 0.902 0.989 0.713
O60 0.989 0.865 0.066

# 10
The following is a GGA+U calculation of a geometry-optimized FeSeO5 structure, from the Materials Project database.

The calculation puts the energy relative to the elements at -0.76 eV/atom. The polymorph energy (0 for the lowest one) comes out at 336 meV per atom.

Lattice parameters (Å, degrees): 6.164 7.393 8.662 90.00 90.00 95.95
Element x y z (fractional)
O1 0.155 0.737 0.379
O2 0.173 0.041 0.577
O3 0.909 0.095 0.839
O4 0.845 0.263 0.621
O5 0.358 0.267 0.802
O6 0.345 0.763 0.879
O7 0.642 0.733 0.198
Se1 0.415 0.193 0.622
O8 0.951 0.502 0.167
O9 0.327 0.459 0.077
O10 0.858 0.767 0.698
Se2 0.085 0.307 0.122
O11 0.827 0.959 0.423
Fe1 0.641 0.466 0.153
Se3 0.915 0.693 0.878
Fe2 0.141 0.966 0.347
O12 0.049 0.498 0.833
Fe3 0.859 0.034 0.653
Fe4 0.359 0.534 0.847
O13 0.549 0.998 0.667
O14 0.142 0.233 0.302
Se4 0.585 0.807 0.378
O15 0.091 0.905 0.161
O16 0.409 0.595 0.661
O17 0.673 0.541 0.923
O18 0.655 0.237 0.121
O19 0.451 0.002 0.333
O20 0.591 0.405 0.339

# 11
The following is a GGA+U calculation of a geometry-optimized TlFeSe2O8 structure, from the Materials Project database.

The calculation puts the energy relative to the elements at -1.25 eV/atom.

Lattice parameters (Å, degrees): 5.199 5.199 9.094 90.00 90.00 120.00
Element x y z (fractional)
O1 0.667 0.333 0.616
O2 0.333 0.667 0.384
Se1 0.333 0.667 0.202
O3 0.331 0.073 0.857
O4 0.927 0.258 0.857
O5 0.258 0.927 0.143
Fe1 0.000 0.000 0.000
O6 0.742 0.669 0.857
O7 0.073 0.331 0.143
O8 0.669 0.742 0.143
Se2 0.667 0.333 0.798
Tl1 0.000 0.000 0.500